1.
# PBE-GGA KTm2Cu3Se5, relaxed
# **SG**: Cmcm, No. 63
# **Energy of formation from the pure elements**: -1.32 eV/atom
data_KTm2Cu3Se5
_chemical_formula_sum 'K2 Tm4 Cu6 Se10'
_cell_length_a 7.453
_cell_length_b 7.453
_cell_length_c 16.724
_cell_angle_alpha 90.00
_cell_angle_beta 90.00
_cell_angle_gamma 148.23
_space_group_name_H-M_alt 'P 1'
_space_group_IT_number 1
_space_group_name_Hall 'P 1'
loop_
_atom_site_label
_atom_site_type_symbol
_atom_site_fract_x
_atom_site_fract_y
_atom_site_fract_z
K1 K 0.059 0.941 0.750
K2 K 0.941 0.059 0.250
Tm1 Tm 0.191 0.809 0.093
Tm2 Tm 0.191 0.809 0.407
Tm3 Tm 0.809 0.191 0.593
Tm4 Tm 0.809 0.191 0.907
Cu1 Cu 0.337 0.663 0.750
Cu2 Cu 0.414 0.586 0.026
Cu3 Cu 0.414 0.586 0.474
Cu4 Cu 0.586 0.414 0.526
Cu5 Cu 0.586 0.414 0.974
Cu6 Cu 0.663 0.337 0.250
Se1 Se 0.166 0.834 0.572
Se2 Se 0.166 0.834 0.928
Se3 Se 0.253 0.747 0.250
Se4 Se 0.441 0.559 0.621
Se5 Se 0.441 0.559 0.879
Se6 Se 0.559 0.441 0.121
Se7 Se 0.559 0.441 0.379
Se8 Se 0.747 0.253 0.750
Se9 Se 0.834 0.166 0.072
Se10 Se 0.834 0.166 0.428

=====

2.
# PBE-GGA Mg3U, relaxed
# **SG**: Fm-3m, No. 225
# **Total moment**: 3.20 μB per cell
# **Energy of formation from the pure elements**: 0.46 eV/atom
data_Mg3U
_chemical_formula_sum 'Mg3 U1'
_cell_length_a 5.173
_cell_length_b 5.173
_cell_length_c 5.173
_cell_angle_alpha 60.00
_cell_angle_beta 60.00
_cell_angle_gamma 60.00
_space_group_name_H-M_alt 'P 1'
_space_group_IT_number 1
_space_group_name_Hall 'P 1'
loop_
_atom_site_label
_atom_site_type_symbol
_atom_site_fract_x
_atom_site_fract_y
_atom_site_fract_z
Mg1 Mg 0.000 0.000 0.000
Mg2 Mg 0.250 0.250 0.250
Mg3 Mg 0.750 0.750 0.750
U1 U 0.500 0.500 0.500

=====

3.
# PBE-GGA LaMo12PbSe16, relaxed
# **SG**: R-3, No. 148
# **Total moment**: 0.85 μB per cell
# **Energy of formation from the pure elements**: -0.88 eV/atom
data_LaMo12PbSe16
_chemical_formula_sum 'La1 Mo12 Pb1 Se16'
_cell_length_a 9.800
_cell_length_b 9.800
_cell_length_c 9.800
_cell_angle_alpha 58.86
_cell_angle_beta 58.86
_cell_angle_gamma 58.86
_space_group_name_H-M_alt 'P 1'
_space_group_IT_number 1
_space_group_name_Hall 'P 1'
loop_
_atom_site_label
_atom_site_type_symbol
_atom_site_fract_x
_atom_site_fract_y
_atom_site_fract_z
La1 La 0.000 0.000 0.000
Mo1 Mo 0.050 0.189 0.372
Mo2 Mo 0.128 0.450 0.311
Mo3 Mo 0.189 0.372 0.050
Mo4 Mo 0.311 0.128 0.450
Mo5 Mo 0.372 0.050 0.189
Mo6 Mo 0.450 0.311 0.128
Mo7 Mo 0.550 0.689 0.872
Mo8 Mo 0.628 0.950 0.811
Mo9 Mo 0.689 0.872 0.550
Mo10 Mo 0.811 0.628 0.950
Mo11 Mo 0.872 0.550 0.689
Mo12 Mo 0.950 0.811 0.628
Pb1 Pb 0.500 0.500 0.500
Se1 Se 0.004 0.746 0.376
Se2 Se 0.121 0.121 0.121
Se3 Se 0.123 0.497 0.756
Se4 Se 0.244 0.877 0.503
Se5 Se 0.254 0.624 0.996
Se6 Se 0.376 0.004 0.746
Se7 Se 0.378 0.378 0.378
Se8 Se 0.497 0.756 0.123
Se9 Se 0.503 0.244 0.877
Se10 Se 0.622 0.622 0.622
Se11 Se 0.624 0.996 0.254
Se12 Se 0.746 0.376 0.004
Se13 Se 0.756 0.123 0.497
Se14 Se 0.877 0.503 0.244
Se15 Se 0.879 0.879 0.879
Se16 Se 0.996 0.254 0.624

=====

4.
# PBE-GGA CaMg2Bi2, relaxed
# **SG**: P-3m1, No. 164
# **Energy of formation from the pure elements**: -0.53 eV/atom
data_CaMg2Bi2
_chemical_formula_sum 'Ca1 Mg2 Bi2'
_cell_length_a 4.802
_cell_length_b 4.802
_cell_length_c 7.740
_cell_angle_alpha 90.00
_cell_angle_beta 90.00
_cell_angle_gamma 120.00
_space_group_name_H-M_alt 'P 1'
_space_group_IT_number 1
_space_group_name_Hall 'P 1'
loop_
_atom_site_label
_atom_site_type_symbol
_atom_site_fract_x
_atom_site_fract_y
_atom_site_fract_z
Ca1 Ca 0.000 0.000 0.000
Mg1 Mg 0.333 0.667 0.372
Mg2 Mg 0.667 0.333 0.628
Bi1 Bi 0.333 0.667 0.761
Bi2 Bi 0.667 0.333 0.239

=====

5.
# PBE-GGA CuB2Pb2O6, relaxed
# **SG**: P2_1/c, No. 14
# **Total moment**: 2.00 μB per cell
# **Energy of formation from the pure elements**: -2.04 eV/atom
data_CuB2Pb2O6
_chemical_formula_sum 'Cu2 B4 Pb4 O12'
_cell_length_a 5.763
_cell_length_b 8.844
_cell_length_c 6.277
_cell_angle_alpha 90.00
_cell_angle_beta 115.50
_cell_angle_gamma 90.00
_space_group_name_H-M_alt 'P 1'
_space_group_IT_number 1
_space_group_name_Hall 'P 1'
loop_
_atom_site_label
_atom_site_type_symbol
_atom_site_fract_x
_atom_site_fract_y
_atom_site_fract_z
Cu1 Cu 0.000 0.000 0.000
Cu2 Cu 0.000 0.500 0.500
B1 B 0.237 0.248 0.343
B2 B 0.237 0.252 0.843
B3 B 0.763 0.748 0.157
B4 B 0.763 0.752 0.657
Pb1 Pb 0.307 0.608 0.163
Pb2 Pb 0.307 0.892 0.663
Pb3 Pb 0.693 0.108 0.337
Pb4 Pb 0.693 0.392 0.837
O1 O 0.013 0.182 0.820
O2 O 0.013 0.318 0.320
O3 O 0.239 0.094 0.294
O4 O 0.239 0.406 0.794
O5 O 0.471 0.177 0.914
O6 O 0.471 0.323 0.414
O7 O 0.529 0.677 0.586
O8 O 0.529 0.823 0.086
O9 O 0.761 0.594 0.206
O10 O 0.761 0.906 0.706
O11 O 0.987 0.682 0.680
O12 O 0.987 0.818 0.180

=====

6.
# PBE-GGA Ho3Fe29, relaxed
# **SG**: C2/m, No. 12
# **Total moment**: 59.78 μB per cell
# **Energy of formation from the pure elements**: 0.00 eV/atom
data_Ho3Fe29
_chemical_formula_sum 'Ho3 Fe29'
_cell_length_a 6.340
_cell_length_b 6.340
_cell_length_c 10.407
_cell_angle_alpha 95.35
_cell_angle_beta 95.35
_cell_angle_gamma 82.41
_space_group_name_H-M_alt 'P 1'
_space_group_IT_number 1
_space_group_name_Hall 'P 1'
loop_
_atom_site_label
_atom_site_type_symbol
_atom_site_fract_x
_atom_site_fract_y
_atom_site_fract_z
Ho1 Ho 0.000 0.000 0.000
Ho2 Ho 0.185 0.185 0.594
Ho3 Ho 0.815 0.815 0.406
Fe1 Fe 0.000 0.500 0.000
Fe2 Fe 0.094 0.094 0.295
Fe3 Fe 0.094 0.591 0.799
Fe4 Fe 0.124 0.696 0.202
Fe5 Fe 0.181 0.455 0.373
Fe6 Fe 0.184 0.677 0.591
Fe7 Fe 0.277 0.277 0.888
Fe8 Fe 0.295 0.295 0.137
Fe9 Fe 0.304 0.876 0.798
Fe10 Fe 0.323 0.816 0.409
Fe11 Fe 0.357 0.643 0.000
Fe12 Fe 0.409 0.906 0.201
Fe13 Fe 0.455 0.181 0.373
Fe14 Fe 0.477 0.477 0.744
Fe15 Fe 0.500 0.000 0.000
Fe16 Fe 0.500 0.500 0.500
Fe17 Fe 0.523 0.523 0.256
Fe18 Fe 0.545 0.819 0.627
Fe19 Fe 0.591 0.094 0.799
Fe20 Fe 0.643 0.357 0.000
Fe21 Fe 0.677 0.184 0.591
Fe22 Fe 0.696 0.124 0.202
Fe23 Fe 0.705 0.705 0.863
Fe24 Fe 0.723 0.723 0.112
Fe25 Fe 0.816 0.323 0.409
Fe26 Fe 0.819 0.545 0.627
Fe27 Fe 0.876 0.304 0.798
Fe28 Fe 0.906 0.409 0.201
Fe29 Fe 0.906 0.906 0.705

=====

7.
# PBE-GGA TiZnSnO4, relaxed
# **SG**: Pna2_1, No. 33
# **Total moment**: 0.00 μB per cell
# **E above lowest polymorph**: 0 meV per atom
# **Energy of formation from the pure elements**: -2.43 eV/atom
data_TiZnSnO4
_chemical_formula_sum 'Ti8 Zn8 Sn8 O32'
_cell_length_a 8.758
_cell_length_b 19.989
_cell_length_c 5.287
_cell_angle_alpha 90.00
_cell_angle_beta 90.00
_cell_angle_gamma 90.00
_space_group_name_H-M_alt 'P 1'
_space_group_IT_number 1
_space_group_name_Hall 'P 1'
loop_
_atom_site_label
_atom_site_type_symbol
_atom_site_fract_x
_atom_site_fract_y
_atom_site_fract_z
Ti1 Ti 0.198 0.176 0.000
Ti2 Ti 0.232 0.427 0.478
Ti3 Ti 0.268 0.927 0.978
Ti4 Ti 0.302 0.676 0.500
Ti5 Ti 0.698 0.324 0.000
Ti6 Ti 0.732 0.073 0.478
Ti7 Ti 0.768 0.573 0.978
Ti8 Ti 0.802 0.824 0.500
Zn1 Zn 0.006 0.445 0.984
Zn2 Zn 0.184 0.843 0.477
Zn3 Zn 0.316 0.343 0.977
Zn4 Zn 0.494 0.945 0.484
Zn5 Zn 0.506 0.055 0.984
Zn6 Zn 0.684 0.657 0.477
Zn7 Zn 0.816 0.157 0.977
Zn8 Zn 0.994 0.555 0.484
Sn1 Sn 0.074 0.272 0.512
Sn2 Sn 0.126 0.056 0.600
Sn3 Sn 0.374 0.556 0.100
Sn4 Sn 0.426 0.772 0.012
Sn5 Sn 0.574 0.228 0.512
Sn6 Sn 0.626 0.444 0.600
Sn7 Sn 0.874 0.944 0.100
Sn8 Sn 0.926 0.728 0.012
O1 O 0.025 0.136 0.849
O2 O 0.069 0.470 0.334
O3 O 0.093 0.976 0.906
O4 O 0.148 0.621 0.431
O5 O 0.163 0.186 0.335
O6 O 0.203 0.420 0.820
O7 O 0.219 0.260 0.844
O8 O 0.248 0.343 0.338
O9 O 0.252 0.843 0.838
O10 O 0.281 0.760 0.344
O11 O 0.297 0.920 0.320
O12 O 0.337 0.686 0.835
O13 O 0.352 0.121 0.931
O14 O 0.407 0.476 0.406
O15 O 0.431 0.970 0.834
O16 O 0.475 0.636 0.349
O17 O 0.525 0.364 0.849
O18 O 0.569 0.030 0.334
O19 O 0.593 0.524 0.906
O20 O 0.648 0.879 0.431
O21 O 0.663 0.314 0.335
O22 O 0.703 0.080 0.820
O23 O 0.719 0.240 0.844
O24 O 0.748 0.157 0.338
O25 O 0.752 0.657 0.838
O26 O 0.781 0.740 0.344
O27 O 0.797 0.580 0.320
O28 O 0.837 0.814 0.835
O29 O 0.852 0.379 0.931
O30 O 0.907 0.024 0.406
O31 O 0.931 0.530 0.834
O32 O 0.975 0.864 0.349

=====

8.
# PBE-GGA Sm2Hf2O7, relaxed
# **SG**: Fd-3m, No. 227
# **Energy of formation from the pure elements**: -4.00 eV/atom
data_Sm2Hf2O7
_chemical_formula_sum 'Sm4 Hf4 O14'
_cell_length_a 7.517
_cell_length_b 7.517
_cell_length_c 7.517
_cell_angle_alpha 60.00
_cell_angle_beta 60.00
_cell_angle_gamma 60.00
_space_group_name_H-M_alt 'P 1'
_space_group_IT_number 1
_space_group_name_Hall 'P 1'
loop_
_atom_site_label
_atom_site_type_symbol
_atom_site_fract_x
_atom_site_fract_y
_atom_site_fract_z
Sm1 Sm 0.000 0.000 0.000
Sm2 Sm 0.000 0.000 0.500
Sm3 Sm 0.000 0.500 0.000
Sm4 Sm 0.500 0.000 0.000
Hf1 Hf 0.000 0.500 0.500
Hf2 Hf 0.500 0.000 0.500
Hf3 Hf 0.500 0.500 0.000
Hf4 Hf 0.500 0.500 0.500
O1 O 0.125 0.125 0.125
O2 O 0.166 0.166 0.584
O3 O 0.166 0.584 0.166
O4 O 0.166 0.584 0.584
O5 O 0.416 0.416 0.834
O6 O 0.416 0.834 0.416
O7 O 0.416 0.834 0.834
O8 O 0.584 0.166 0.166
O9 O 0.584 0.166 0.584
O10 O 0.584 0.584 0.166
O11 O 0.834 0.416 0.416
O12 O 0.834 0.416 0.834
O13 O 0.834 0.834 0.416
O14 O 0.875 0.875 0.875